Record 1
DFT (PBE+U) results for a relaxed Li2FeP2O7 crystal.

Corrected total energy (MP2020 scheme), eV/f.u.: -88.43
Calculated total energy, eV for the cell shown: -325.44
Energy of formation from the pure elements, eV/atom: -2.56
Volume, Å³/cell: 548.3

Unit cell a=5.1021 b=12.8448 c=8.5044 alpha=79.87 beta=88.64 gamma=88.31
Last column: nearest neighbours and their distance in Å.
Fractional coordinates of all 48 atoms:
O: 0.5732 0.4025 0.9293  1 P 1.53
O: 0.8658 0.6204 0.9149  1 P 1.54
O: 0.8651 0.1203 0.4149  1 P 1.54
O: 0.3035 0.0605 0.9353  1 P 1.54
O: 0.1409 0.4352 0.7800  1 P 1.53
Fe: 0.7667 0.5208 0.7588  5 O 2.08-2.25
P: 0.2820 0.8757 0.4265  4 O 1.53-1.63
O: 0.4267 0.0975 0.5708  1 P 1.53
P: 0.7808 0.3525 0.4684  4 O 1.53-1.62
Li: 0.7064 0.5818 0.4227  4 O 1.92-2.08
Fe: 0.2334 0.4792 0.2412  5 O 2.08-2.25
O: 0.8591 0.0647 0.7199  1 P 1.53
Li: 0.2312 0.6831 0.8812  3 O 2.02-2.05
O: 0.6966 0.4395 0.5647  1 P 1.54
P: 0.2824 0.3758 0.9264  4 O 1.53-1.63
P: 0.7179 0.6243 0.0735  4 O 1.53-1.63
O: 0.4271 0.5977 0.0706  1 P 1.53
O: 0.5728 0.9023 0.4296  1 P 1.53
O: 0.3033 0.5603 0.4352  1 P 1.54
Li: 0.2934 0.4180 0.5773  4 O 1.92-2.08
O: 0.7190 0.7473 0.0973  2 P 1.62-1.63
Fe: 0.7666 0.0207 0.2589  5 O 2.08-2.25
O: 0.1408 0.9352 0.2800  1 P 1.53
O: 0.6968 0.9397 0.0648  1 P 1.54
O: 0.3875 0.6441 0.6786  1 P 1.53
O: 0.1346 0.3797 0.0850  1 P 1.54
Li: 0.7066 0.0820 0.9226  4 O 1.92-2.08
O: 0.0785 0.8507 0.9318  1 P 1.54
Li: 0.7691 0.3167 0.1186  3 O 2.02-2.05
O: 0.2812 0.7527 0.4027  2 P 1.62-1.63
Li: 0.7686 0.8168 0.6189  3 O 2.02-2.05
P: 0.7810 0.8526 0.9685  4 O 1.53-1.62
O: 0.2819 0.2528 0.9027  2 P 1.62-1.63
Li: 0.2938 0.9182 0.0773  4 O 1.92-2.08
P: 0.2192 0.1475 0.0315  4 O 1.53-1.62
O: 0.6126 0.3558 0.3212  1 P 1.53
O: 0.9215 0.6493 0.5682  1 P 1.54
O: 0.1341 0.8795 0.5851  1 P 1.54
Fe: 0.2335 0.9792 0.7412  5 O 2.08-2.25
Li: 0.2306 0.1833 0.3813  3 O 2.02-2.05
O: 0.3874 0.1442 0.1787  1 P 1.53
P: 0.2191 0.6474 0.5315  4 O 1.53-1.62
P: 0.7175 0.1242 0.5736  4 O 1.53-1.63
O: 0.7183 0.2472 0.5972  2 P 1.62-1.63
O: 0.0784 0.3504 0.4319  1 P 1.54
O: 0.8592 0.5648 0.2200  1 P 1.53
O: 0.9217 0.1496 0.0680  1 P 1.54
O: 0.6125 0.8559 0.8215  1 P 1.53

Record 2
DFT (PBE+U) results for a relaxed LiFeP2O7 crystal.

Corrected total energy (MP2020 scheme), eV/f.u.: -82.56
Calculated total energy, eV for the cell shown: -301.98
Energy of formation from the pure elements, eV/atom: -2.43
SG: P2_1/c, No. 14
Volume, Å³/cell: 557.1

Unit cell a=8.0646 b=4.9489 c=14.2039 alpha=79.34 beta=90.00 gamma=90.00
Last column: nearest neighbours and their distance in Å.
Fractional coordinates of all 44 atoms:
O: 0.3543 0.6905 0.2641  1 P 1.54
O: 0.6326 0.0331 0.1185  1 P 1.56
O: 0.8047 0.2434 0.4422  1 P 1.48
O: 0.6527 0.7555 0.3138  1 P 1.54
O: 0.1953 0.7566 0.5578  1 P 1.48
P: 0.7184 0.2625 0.0443  3 O 1.48-1.56
P: 0.2816 0.7375 0.9557  3 O 1.48-1.56
Fe: 0.7640 0.6710 0.6890  5 O 1.96-2.06
Fe: 0.2360 0.3290 0.3110  5 O 1.96-2.06
Li: 0.1416 0.0470 0.6209  1 O 1.88
O: 0.3047 0.7566 0.0578  1 P 1.48
O: 0.6786 0.5476 0.0696  1 P 1.55
Li: 0.6416 0.9530 0.8791  1 O 1.88
P: 0.7816 0.2625 0.5443  3 O 1.48-1.56
P: 0.2184 0.7375 0.4557  3 O 1.48-1.56
O: 0.1457 0.6905 0.7641  1 P 1.54
P: 0.4712 0.8431 0.3225  4 O 1.54-1.60
O: 0.1326 0.9669 0.3815  1 P 1.56
O: 0.9493 0.8429 0.2077  1 P 1.54
O: 0.5507 0.8429 0.7077  1 P 1.54
O: 0.0507 0.1571 0.7923  1 P 1.54
Fe: 0.2640 0.3290 0.8110  5 O 1.96-2.06
O: 0.3214 0.4524 0.9304  1 P 1.55
P: 0.5288 0.1569 0.6775  4 O 1.54-1.60
O: 0.4204 0.7711 0.4331  2 P 1.60-1.66
O: 0.8674 0.0331 0.6185  1 P 1.56
O: 0.6953 0.2434 0.9422  1 P 1.48
O: 0.3674 0.9669 0.8815  1 P 1.56
O: 0.5796 0.2289 0.5669  2 P 1.60-1.66
Fe: 0.7360 0.6710 0.1890  5 O 1.96-2.06
O: 0.1786 0.4524 0.4304  1 P 1.55
P: 0.9712 0.1569 0.1775  4 O 1.54-1.60
O: 0.6457 0.3095 0.7359  1 P 1.54
Li: 0.3584 0.0470 0.1209  1 O 1.88
O: 0.8214 0.5476 0.5696  1 P 1.55
O: 0.8543 0.3095 0.2359  1 P 1.54
O: 0.1527 0.2445 0.1862  1 P 1.54
O: 0.3473 0.2445 0.6862  1 P 1.54
O: 0.8473 0.7555 0.8138  1 P 1.54
Li: 0.8584 0.9530 0.3791  1 O 1.88
O: 0.4493 0.1571 0.2923  1 P 1.54
O: 0.9204 0.2289 0.0669  2 P 1.60-1.66
O: 0.0796 0.7711 0.9331  2 P 1.60-1.66
P: 0.0288 0.8431 0.8225  4 O 1.54-1.60

Record 3
DFT (PBE+U) results for a relaxed LiFeP2O7 crystal.

Corrected total energy (MP2020 scheme), eV/f.u.: -83.39
Calculated total energy, eV for the cell shown: -152.66
Energy of formation from the pure elements, eV/atom: -2.50
SG: P-1, No. 2
Volume, Å³/cell: 259.4

Unit cell a=6.3640 b=6.4252 c=6.9558 alpha=84.61 beta=67.22 gamma=81.93
Last column: nearest neighbours and their distance in Å.
Fractional coordinates of all 22 atoms:
O: 0.9369 0.0304 0.2389  1 P 1.55
P: 0.3433 0.3879 0.3579  4 O 1.53-1.61
O: 0.7765 0.4091 0.5293  1 P 1.53
O: 0.7845 0.6931 0.7616  1 P 1.53
P: 0.6567 0.6121 0.6421  4 O 1.53-1.61
O: 0.0532 0.3334 0.8804  1 P 1.57
O: 0.5946 0.4013 0.2167  1 P 1.53
O: 0.3888 0.0527 0.8615  1 P 1.50
O: 0.9468 0.6666 0.1196  1 P 1.57
O: 0.6112 0.9473 0.1385  1 P 1.50
O: 0.0631 0.9696 0.7611  1 P 1.55
O: 0.2235 0.5909 0.4707  1 P 1.53
Li: 0.7067 0.0033 0.8354  4 O 1.94-2.11
O: 0.2155 0.3069 0.2384  1 P 1.53
Li: 0.2933 0.9967 0.1646  4 O 1.94-2.11
O: 0.3524 0.2069 0.5326  2 P 1.60-1.61
Fe: 0.0988 0.6490 0.7758  5 O 1.95-2.11
O: 0.6476 0.7931 0.4674  2 P 1.60-1.61
P: 0.7867 0.8642 0.2294  4 O 1.50-1.60
P: 0.2133 0.1358 0.7706  4 O 1.50-1.60
Fe: 0.9012 0.3510 0.2242  5 O 1.95-2.11
O: 0.4054 0.5987 0.7833  1 P 1.53

Record 4
DFT (PBE+U) results for a relaxed LiFePO4 crystal.

Corrected total energy (MP2020 scheme), eV/f.u.: -52.29
Calculated total energy, eV for the cell shown: -189.14
Energy of formation from the pure elements, eV/atom: -2.39
SG: C2, No. 5
Volume, Å³/cell: 302.8

Unit cell a=4.9594 b=5.4036 c=12.7387 alpha=86.91 beta=90.00 gamma=117.31
Last column: nearest neighbours and their distance in Å.
Fractional coordinates of all 28 atoms:
O: 0.1983 0.2952 0.1297  1 P 1.60
P: 0.3185 0.6252 0.1219  4 O 1.54-1.60
O: 0.3449 0.2814 0.3832  1 P 1.56
O: 0.7868 0.2717 0.4797  1 P 1.54
O: 0.0635 0.7186 0.1168  1 P 1.56
O: 0.3468 0.2827 0.8827  1 P 1.56
Fe: 0.9604 0.0000 0.2500  4 O 2.07-2.10
O: 0.5150 0.7282 0.0203  1 P 1.54
O: 0.1993 0.2949 0.6291  1 P 1.60
P: 0.3196 0.6253 0.6220  4 O 1.54-1.60
Fe: 0.9832 0.9983 0.0003  6 O 2.10-2.27
Fe: 0.9849 0.0017 0.4997  6 O 2.10-2.27
Fe: 0.9615 0.0001 0.7500  4 O 2.08-2.09
Li: 0.6798 0.3559 0.6259  3 O 2.00-2.08
O: 0.9044 0.7051 0.8709  1 P 1.60
Li: 0.6794 0.3554 0.1260  3 O 2.01-2.08
O: 0.5054 0.7349 0.7210  1 P 1.54
O: 0.7705 0.2651 0.7790  1 P 1.54
O: 0.5180 0.7297 0.5206  1 P 1.54
Li: 0.3240 0.6446 0.3740  3 O 2.01-2.08
O: 0.5038 0.7352 0.2209  1 P 1.54
O: 0.0641 0.7173 0.6173  1 P 1.56
P: 0.6933 0.3748 0.3781  4 O 1.54-1.60
O: 0.7883 0.2703 0.9794  1 P 1.54
O: 0.7686 0.2648 0.2791  1 P 1.54
O: 0.9031 0.7048 0.3703  1 P 1.60
P: 0.6943 0.3747 0.8780  4 O 1.54-1.60
Li: 0.3239 0.6441 0.8741  3 O 2.00-2.08